(1)
InGeN2: relaxed, PBE.

a b c (Å): 5.748 7.323 5.522
angles (deg): 90.00 90.00 90.00
Sites, in units of the cell vectors:
In: 0.075 0.124 0.000
In: 0.425 0.624 0.500
In: 0.575 0.376 0.000
In: 0.925 0.876 0.500
Ge: 0.060 0.626 0.007
Ge: 0.440 0.126 0.507
Ge: 0.560 0.874 0.007
Ge: 0.940 0.374 0.507
N: 0.051 0.589 0.351
N: 0.125 0.168 0.413
N: 0.375 0.668 0.913
N: 0.449 0.089 0.851
N: 0.551 0.911 0.351
N: 0.625 0.332 0.413
N: 0.875 0.832 0.913
N: 0.949 0.411 0.851

Output
Crystal system   orthorhombic
ΔH_f (0 K)   69.8 meV/atom
Space group   Pna2_1, No. 33
Theoretical density   6.16 g/cm3
Energy above the most stable polymorph in this dataset   71 meV per atom

***

(2)
Na5In3GeP6O24: relaxed, PBE.

a b c (Å): 8.938 8.940 22.398
angles (deg): 89.99 89.97 60.06
Sites, in units of the cell vectors:
Na: 0.000 0.000 0.000
Na: 0.000 0.371 0.738
Na: 0.014 0.370 0.244
Na: 0.319 0.705 0.583
Na: 0.331 0.067 0.824
Na: 0.335 0.688 0.085
Na: 0.370 0.003 0.500
Na: 0.630 0.371 0.500
Na: 0.632 0.741 0.000
Na: 0.652 0.052 0.913
Na: 0.667 0.036 0.413
Na: 0.689 0.699 0.328
Na: 0.697 0.342 0.824
Na: 0.971 0.702 0.823
Na: 0.977 0.063 0.328
In: 0.004 0.370 0.898
In: 0.006 0.374 0.395
In: 0.326 0.701 0.429
In: 0.333 0.702 0.226
In: 0.334 0.696 0.934
In: 0.335 0.703 0.724
In: 0.661 0.043 0.066
In: 0.668 0.035 0.753
In: 0.674 0.031 0.566
Ge: 0.001 0.372 0.598
Ge: 0.002 0.371 0.102
Ge: 0.660 0.043 0.258
P: 0.002 0.082 0.496
P: 0.003 0.657 0.001
P: 0.024 0.715 0.324
P: 0.035 0.999 0.831
P: 0.288 0.373 0.500
P: 0.289 0.081 0.999
P: 0.337 0.405 0.829
P: 0.343 0.002 0.327
P: 0.351 0.048 0.659
P: 0.364 0.328 0.162
P: 0.629 0.395 0.328
P: 0.629 0.706 0.831
P: 0.678 0.342 0.659
P: 0.678 0.733 0.162
P: 0.710 0.660 0.496
P: 0.712 0.372 0.000
P: 0.959 0.049 0.161
P: 0.972 0.721 0.661
O: 0.013 0.184 0.833
O: 0.022 0.539 0.054
O: 0.030 0.180 0.549
O: 0.095 0.758 0.381
O: 0.105 0.898 0.891
O: 0.138 0.682 0.270
O: 0.140 0.893 0.168
O: 0.154 0.694 0.664
O: 0.158 0.910 0.779
O: 0.163 0.681 0.000
O: 0.164 0.181 0.052
O: 0.171 0.905 0.495
O: 0.172 0.217 0.653
O: 0.172 0.394 0.554
O: 0.174 0.384 0.833
O: 0.182 0.183 0.332
O: 0.184 0.337 0.158
O: 0.219 0.337 0.442
O: 0.222 0.169 0.938
O: 0.301 0.523 0.775
O: 0.301 0.900 0.000
O: 0.304 0.915 0.276
O: 0.309 0.535 0.497
O: 0.326 0.891 0.663
O: 0.338 0.509 0.169
O: 0.374 0.477 0.886
O: 0.384 0.893 0.386
O: 0.430 0.074 0.717
O: 0.459 0.205 0.217
O: 0.462 0.023 0.603
O: 0.465 0.258 0.104
O: 0.473 0.211 0.504
O: 0.475 0.050 0.003
O: 0.499 0.223 0.822
O: 0.514 0.009 0.317
O: 0.522 0.523 0.663
O: 0.522 0.708 0.168
O: 0.527 0.737 0.891
O: 0.529 0.671 0.496
O: 0.530 0.464 0.388
O: 0.535 0.540 0.000
O: 0.542 0.671 0.779
O: 0.545 0.524 0.277
O: 0.644 0.871 0.824
O: 0.648 0.212 0.317
O: 0.651 0.257 0.603
O: 0.652 0.832 0.103
O: 0.680 0.845 0.501
O: 0.698 0.207 0.004
O: 0.701 0.831 0.217
O: 0.706 0.236 0.717
O: 0.799 0.592 0.435
O: 0.807 0.345 0.940
O: 0.810 0.535 0.549
O: 0.812 0.397 0.053
O: 0.813 0.545 0.834
O: 0.816 0.368 0.332
O: 0.837 0.074 0.217
O: 0.838 0.067 0.502
O: 0.839 0.840 0.004
O: 0.840 0.886 0.317
O: 0.847 0.351 0.652
O: 0.850 0.553 0.158
O: 0.854 0.017 0.824
O: 0.871 0.794 0.721
O: 0.883 0.839 0.608
O: 0.887 0.020 0.103
O: 0.968 0.220 0.157
O: 0.973 0.179 0.437
O: 0.975 0.590 0.941
O: 0.978 0.544 0.653
O: 0.989 0.563 0.331

Output
Crystal system   triclinic
ΔH_f (0 K)   -2493.5 meV/atom
Space group   P1, No. 1
Theoretical density   3.54 g/cm3

***

(3)
Na2InGeP3O12: relaxed, PBE.

a b c (Å): 8.781 8.781 22.153
angles (deg): 90.16 89.84 120.24
Sites, in units of the cell vectors:
Ge: 0.669 0.341 0.981
Ge: 0.992 0.997 0.148
Ge: 0.325 0.664 0.815
Ge: 0.003 0.008 0.648
Ge: 0.659 0.331 0.481
Ge: 0.336 0.675 0.315
Na: 0.668 0.334 0.333
Na: 0.364 0.358 0.250
Na: 0.642 0.636 0.750
Na: 0.333 0.666 0.166
Na: 0.308 0.969 0.083
Na: 0.001 0.001 0.999
Na: 0.697 0.025 0.917
Na: 0.975 0.303 0.417
Na: 0.999 0.999 0.499
Na: 0.666 0.332 0.833
Na: 0.031 0.692 0.583
Na: 0.334 0.667 0.666
In: 0.998 0.992 0.352
In: 0.331 0.658 0.018
In: 0.675 0.336 0.185
In: 0.342 0.669 0.518
In: 0.008 0.002 0.852
In: 0.664 0.325 0.685
P: 0.674 0.630 0.585
P: 0.288 0.299 0.749
P: 0.288 0.988 0.249
P: 0.701 0.712 0.249
P: 0.340 0.964 0.918
P: 0.370 0.326 0.085
P: 0.367 0.045 0.583
P: 0.678 0.045 0.082
P: 0.703 0.993 0.752
P: 0.621 0.655 0.915
P: 0.621 0.966 0.416
P: 0.345 0.379 0.415
P: 0.955 0.322 0.582
P: 0.955 0.633 0.083
P: 0.012 0.712 0.749
P: 0.036 0.660 0.418
P: 0.034 0.379 0.916
P: 0.007 0.297 0.252
O: 0.981 0.197 0.311
O: 0.840 0.292 0.523
O: 0.998 0.189 0.910
O: 0.885 0.526 0.140
O: 0.139 0.485 0.577
O: 0.378 0.872 0.863
O: 0.182 0.194 0.410
O: 0.794 0.955 0.696
O: 0.517 0.369 0.423
O: 0.314 0.864 0.977
O: 0.474 0.115 0.640
O: 0.183 0.702 0.757
O: 0.506 0.625 0.857
O: 0.461 0.289 0.029
O: 0.964 0.150 0.590
O: 0.184 0.481 0.256
O: 0.181 0.030 0.589
O: 0.214 0.033 0.304
O: 0.519 0.816 0.756
O: 0.852 0.482 0.423
O: 0.665 0.523 0.244
O: 0.182 0.989 0.913
O: 0.850 0.036 0.090
O: 0.790 0.831 0.193
O: 0.041 0.827 0.690
O: 0.218 0.193 0.807
O: 0.457 0.164 0.526
O: 0.011 0.818 0.413
O: 0.303 0.486 0.755
O: 0.552 0.860 0.473
O: 0.848 0.528 0.743
O: 0.128 0.622 0.363
O: 0.803 0.019 0.811
O: 0.140 0.448 0.973
O: 0.849 0.322 0.246
O: 0.514 0.697 0.255
O: 0.678 0.151 0.746
O: 0.332 0.856 0.577
O: 0.708 0.160 0.023
O: 0.469 0.352 0.144
O: 0.477 0.335 0.744
O: 0.169 0.210 0.693
O: 0.881 0.366 0.637
O: 0.836 0.543 0.026
O: 0.144 0.668 0.077
O: 0.811 0.002 0.410
O: 0.173 0.959 0.190
O: 0.806 0.818 0.910
O: 0.631 0.483 0.923
O: 0.807 0.782 0.307
O: 0.185 0.149 0.089
O: 0.967 0.786 0.804
O: 0.503 0.876 0.359
O: 0.970 0.819 0.089
O: 0.648 0.531 0.644
O: 0.298 0.817 0.257
O: 0.045 0.206 0.196
O: 0.375 0.494 0.357
O: 0.634 0.119 0.137
O: 0.301 0.452 0.471
O: 0.516 0.655 0.580
O: 0.515 0.861 0.077
O: 0.711 0.539 0.529
O: 0.636 0.153 0.422
O: 0.518 0.148 0.923
O: 0.136 0.686 0.477
O: 0.851 0.815 0.589
O: 0.548 0.699 0.971
O: 0.124 0.497 0.859
O: 0.345 0.484 0.080
O: 0.472 0.152 0.243
O: 0.847 0.364 0.922

Output
ΔH_f (0 K)   -2450.8 meV/atom
Theoretical density   3.50 g/cm3

***

(4)
NaIn2Ge2P3S3O24: relaxed, PBE.

a b c (Å): 8.608 8.632 22.475
angles (deg): 89.75 89.56 60.10
Sites, in units of the cell vectors:
Na: 0.000 0.000 0.000
Na: 0.017 0.977 0.498
Na: 0.335 0.326 0.332
In: 0.006 0.994 0.852
In: 0.014 0.996 0.153
In: 0.015 0.983 0.649
In: 0.025 0.981 0.350
In: 0.343 0.323 0.476
In: 0.350 0.316 0.974
Ge: 0.347 0.335 0.185
Ge: 0.358 0.320 0.677
Ge: 0.666 0.677 0.521
Ge: 0.681 0.654 0.312
Ge: 0.687 0.656 0.816
Ge: 0.688 0.645 0.021
P: 0.012 0.297 0.249
P: 0.321 0.685 0.249
P: 0.357 0.610 0.580
P: 0.401 0.934 0.415
P: 0.635 0.028 0.581
P: 0.635 0.328 0.081
P: 0.683 0.927 0.917
P: 0.953 0.658 0.416
P: 0.958 0.376 0.916
S: 0.016 0.678 0.749
S: 0.048 0.331 0.583
S: 0.050 0.613 0.082
S: 0.321 0.990 0.749
S: 0.356 0.023 0.082
S: 0.400 0.659 0.915
S: 0.683 0.375 0.416
S: 0.704 0.298 0.749
S: 0.708 0.989 0.249
O: 0.027 0.793 0.089
O: 0.028 0.173 0.592
O: 0.055 0.755 0.802
O: 0.058 0.177 0.304
O: 0.131 0.499 0.136
O: 0.135 0.361 0.638
O: 0.137 0.368 0.920
O: 0.138 0.490 0.417
O: 0.159 0.291 0.530
O: 0.159 0.537 0.028
O: 0.176 0.499 0.738
O: 0.187 0.312 0.237
O: 0.197 0.798 0.589
O: 0.199 0.753 0.304
O: 0.200 0.996 0.087
O: 0.205 0.027 0.803
O: 0.214 0.952 0.414
O: 0.223 0.822 0.911
O: 0.244 0.797 0.193
O: 0.245 0.950 0.697
O: 0.314 0.535 0.526
O: 0.318 0.134 0.028
O: 0.337 0.153 0.739
O: 0.343 0.493 0.240
O: 0.383 0.107 0.136
O: 0.383 0.499 0.918
O: 0.388 0.491 0.639
O: 0.390 0.117 0.416
O: 0.479 0.688 0.970
O: 0.481 0.824 0.473
O: 0.501 0.827 0.759
O: 0.507 0.632 0.859
O: 0.507 0.664 0.261
O: 0.513 0.360 0.138
O: 0.513 0.843 0.358
O: 0.514 0.112 0.639
O: 0.518 0.109 0.919
O: 0.520 0.360 0.417
O: 0.523 0.845 0.075
O: 0.524 0.314 0.739
O: 0.525 0.151 0.240
O: 0.533 0.618 0.573
O: 0.556 0.296 0.026
O: 0.557 0.142 0.526
O: 0.645 0.505 0.074
O: 0.650 0.842 0.576
O: 0.654 0.846 0.859
O: 0.659 0.480 0.360
O: 0.683 0.479 0.759
O: 0.687 0.830 0.258
O: 0.705 0.457 0.471
O: 0.710 0.812 0.974
O: 0.777 0.183 0.802
O: 0.781 0.031 0.302
O: 0.818 0.952 0.195
O: 0.821 0.007 0.590
O: 0.822 0.165 0.089
O: 0.822 0.223 0.697
O: 0.839 0.457 0.973
O: 0.844 0.196 0.412
O: 0.845 0.678 0.475
O: 0.849 0.485 0.261
O: 0.852 0.661 0.758
O: 0.857 0.936 0.913
O: 0.867 0.632 0.359
O: 0.870 0.626 0.076
O: 0.872 0.485 0.858
O: 0.872 0.494 0.577
O: 0.964 0.830 0.413
O: 0.969 0.227 0.194
O: 0.973 0.795 0.697
O: 0.974 0.190 0.913

Output
Crystal system   triclinic
ΔH_f (0 K)   -2148.1 meV/atom
Space group   P1, No. 1
Theoretical density   3.34 g/cm3